Entry 1:
Computed, not measured: a relaxed structure of Li2FeNi2O6 at the GGA+U level of DFT.

Unit cell a=4.921 b=4.921 c=9.924 alpha=90.00 beta=90.00 gamma=117.45
Atoms (fractional coordinates):
O 0.691 0.033 0.108
O 0.674 0.674 0.904
O 0.033 0.691 0.108
O 0.309 0.967 0.892
O 0.191 0.533 0.392
O 0.967 0.309 0.892
O 0.326 0.326 0.096
O 0.826 0.826 0.404
O 0.174 0.174 0.596
O 0.809 0.467 0.608
O 0.533 0.191 0.392
O 0.467 0.809 0.608
Li 0.367 0.867 0.250
Li 0.133 0.633 0.750
Li 0.633 0.133 0.750
Li 0.867 0.367 0.250
Ni 0.835 0.165 0.500
Ni 0.165 0.835 0.500
Ni 0.665 0.335 0.000
Ni 0.335 0.665 0.000
Fe 0.000 0.000 0.000
Fe 0.500 0.500 0.500

Output
Theoretical density in Mg/m³: 4.4
Distance to the lowest polymorph of the same formula in meV per atom: 45
Formation energy in eV/atom: -1.393
Crystal system: orthorhombic
SG: No. 64

=====

Entry 2:
Computed, not measured: a relaxed structure of Li3Fe2Ni2O8 at the GGA+U level of DFT.

Unit cell a=5.792 b=5.792 c=5.679 alpha=61.06 beta=61.06 gamma=59.60
Atoms (fractional coordinates):
Li 0.000 0.500 0.000
Li 0.500 0.000 0.000
Li 0.500 0.500 0.500
O 0.225 0.783 0.741
O 0.217 0.775 0.259
O 0.768 0.768 0.246
O 0.783 0.225 0.741
O 0.775 0.217 0.259
O 0.232 0.232 0.754
O 0.227 0.227 0.294
O 0.773 0.773 0.706
Fe 0.000 0.000 0.500
Fe 0.000 0.000 0.000
Ni 0.000 0.500 0.500
Ni 0.500 0.000 0.500

Output
Theoretical density in Mg/m³: 4.6
Distance to the lowest polymorph of the same formula in meV per atom: 55
Formation energy in eV/atom: -1.518
Crystal system: monoclinic
SG: No. 12

=====

Entry 3:
Computed, not measured: a relaxed structure of Li2Fe3NiO8 at the GGA+U level of DFT.

Unit cell a=8.388 b=8.345 c=8.402 alpha=90.10 beta=90.15 gamma=90.35
Atoms (fractional coordinates):
Ni 0.999 0.002 0.001
Ni 0.500 0.000 0.502
Ni 0.497 0.502 0.002
Ni 0.000 0.500 0.500
O 0.117 0.609 0.883
O 0.383 0.863 0.369
O 0.356 0.375 0.859
O 0.874 0.890 0.392
O 0.864 0.365 0.382
O 0.858 0.865 0.861
O 0.627 0.110 0.893
O 0.642 0.637 0.873
O 0.860 0.124 0.143
O 0.138 0.858 0.123
O 0.396 0.872 0.888
O 0.610 0.375 0.609
O 0.121 0.148 0.862
O 0.135 0.365 0.635
O 0.389 0.107 0.127
O 0.376 0.612 0.606
O 0.897 0.388 0.874
O 0.386 0.387 0.386
O 0.634 0.136 0.368
O 0.613 0.888 0.114
O 0.897 0.626 0.111
O 0.134 0.615 0.367
O 0.885 0.115 0.610
O 0.110 0.895 0.629
O 0.625 0.357 0.140
O 0.364 0.134 0.616
O 0.105 0.128 0.388
O 0.634 0.882 0.635
O 0.126 0.390 0.104
O 0.354 0.640 0.149
O 0.883 0.635 0.633
O 0.612 0.607 0.372
Fe 0.875 0.873 0.618
Fe 0.377 0.625 0.385
Fe 0.622 0.126 0.119
Fe 0.384 0.376 0.626
Fe 0.126 0.120 0.622
Fe 0.373 0.882 0.125
Fe 0.118 0.624 0.128
Fe 0.874 0.617 0.876
Fe 0.881 0.123 0.374
Fe 0.124 0.376 0.880
Fe 0.626 0.382 0.377
Fe 0.618 0.876 0.874
Li 0.876 0.376 0.124
Li 0.250 0.251 0.248
Li 0.375 0.124 0.879
Li 0.751 0.751 0.247
Li 0.122 0.878 0.377
Li 0.624 0.622 0.623
Li 0.752 0.249 0.747
Li 0.252 0.751 0.747

Output
Theoretical density in Mg/m³: 4.2
Distance to the lowest polymorph of the same formula in meV per atom: 74
Formation energy in eV/atom: -1.494
Crystal system: triclinic
SG: No. 1

=====

Entry 4:
Computed, not measured: a relaxed structure of Li5Fe2Ni5O12 at the GGA+U level of DFT.

Unit cell a=5.099 b=5.099 c=9.787 alpha=84.86 beta=84.86 gamma=120.59
Atoms (fractional coordinates):
Li 0.674 0.829 0.246
Li 0.324 0.176 0.249
Li 0.171 0.326 0.754
Li 0.824 0.676 0.751
Li 0.082 0.918 0.000
O 0.147 0.610 0.885
O 0.692 0.527 0.117
O 0.758 0.940 0.885
O 0.627 0.122 0.378
O 0.060 0.242 0.115
O 0.209 0.036 0.623
O 0.558 0.739 0.613
O 0.964 0.791 0.377
O 0.261 0.442 0.387
O 0.473 0.308 0.883
O 0.390 0.853 0.115
O 0.878 0.373 0.622
Ni 0.583 0.417 0.500
Ni 0.999 0.506 0.246
Ni 0.494 0.001 0.754
Ni 0.914 0.086 0.500
Ni 0.420 0.580 0.000
Fe 0.245 0.755 0.500
Fe 0.749 0.251 0.000

Output
Theoretical density in Mg/m³: 4.9
Formation energy in eV/atom: -1.584
Crystal system: monoclinic
SG: No. 5

=====

Entry 5:
Computed, not measured: a relaxed structure of Li2Fe3NiO8 at the GGA+U level of DFT.

Unit cell a=8.067 b=8.174 c=8.054 alpha=90.02 beta=89.78 gamma=89.93
Atoms (fractional coordinates):
O 0.134 0.146 0.860
O 0.607 0.387 0.611
O 0.638 0.358 0.139
O 0.617 0.106 0.892
O 0.885 0.116 0.613
O 0.113 0.392 0.110
O 0.368 0.854 0.359
O 0.392 0.888 0.889
O 0.889 0.392 0.888
O 0.642 0.644 0.868
O 0.108 0.111 0.388
O 0.135 0.361 0.635
O 0.360 0.362 0.858
O 0.609 0.604 0.383
O 0.109 0.896 0.618
O 0.144 0.857 0.131
O 0.861 0.133 0.141
O 0.115 0.608 0.887
O 0.639 0.862 0.642
O 0.363 0.634 0.135
O 0.357 0.142 0.632
O 0.864 0.862 0.865
O 0.393 0.108 0.116
O 0.382 0.608 0.607
O 0.614 0.888 0.114
O 0.866 0.642 0.642
O 0.860 0.358 0.363
O 0.637 0.142 0.365
O 0.892 0.616 0.112
O 0.385 0.389 0.385
O 0.138 0.639 0.358
O 0.881 0.893 0.394
Fe 0.121 0.128 0.624
Fe 0.628 0.875 0.878
Fe 0.125 0.376 0.872
Fe 0.878 0.628 0.877
Fe 0.874 0.878 0.629
Fe 0.127 0.625 0.123
Fe 0.372 0.375 0.622
Fe 0.622 0.374 0.375
Fe 0.374 0.622 0.371
Fe 0.873 0.125 0.377
Fe 0.627 0.123 0.128
Fe 0.379 0.872 0.124
Li 0.500 0.999 0.497
Li 0.748 0.252 0.755
Li 0.748 0.750 0.254
Li 0.504 0.498 0.998
Li 0.248 0.250 0.251
Li 0.248 0.751 0.750
Li 0.004 0.000 0.998
Li 0.001 0.500 0.498
Ni 0.376 0.125 0.874
Ni 0.624 0.625 0.626
Ni 0.124 0.875 0.374
Ni 0.876 0.375 0.126

Output
Theoretical density in Mg/m³: 4.6
Distance to the lowest polymorph of the same formula in meV per atom: 94
Formation energy in eV/atom: -1.475
Crystal system: triclinic
SG: No. 1

=====

Entry 6:
Computed, not measured: a relaxed structure of Li3FeNi4O10 at the GGA+U level of DFT.

Unit cell a=2.862 b=5.048 c=24.268 alpha=86.21 beta=90.00 gamma=90.00
Atoms (fractional coordinates):
O 0.500 0.166 0.054
O 0.500 0.025 0.341
O 0.000 0.021 0.859
O 0.500 0.356 0.456
O 0.000 0.835 0.454
O 0.500 0.776 0.257
O 0.500 0.224 0.743
O 0.000 0.635 0.056
O 0.500 0.644 0.544
O 0.000 0.165 0.546
O 0.000 0.768 0.741
O 0.000 0.430 0.661
O 0.000 0.979 0.141
O 0.500 0.419 0.140
O 0.000 0.232 0.259
O 0.000 0.365 0.944
O 0.500 0.975 0.659
O 0.000 0.570 0.339
O 0.500 0.581 0.860
O 0.500 0.834 0.946
Li 0.500 0.900 0.801
Li 0.500 0.703 0.398
Li 0.500 0.100 0.199
Li 0.000 0.000 0.000
Li 0.500 0.297 0.602
Li 0.500 0.500 0.000
Ni 0.500 0.600 0.701
Ni 0.500 0.796 0.102
Ni 0.000 0.298 0.098
Ni 0.500 0.400 0.299
Ni 0.500 0.204 0.898
Ni 0.000 0.702 0.902
Ni 0.000 0.100 0.701
Ni 0.000 0.900 0.299
Fe 0.500 0.000 0.500
Fe 0.000 0.500 0.500

Output
Theoretical density in Mg/m³: 4.5
Formation energy in eV/atom: -1.305
Crystal system: monoclinic
SG: No. 10

=====

Q: What is the formation energy in the second record?
A: -1.518 eV/atom

=====

Q: Which formula does entry 6 have?
A: Li3FeNi4O10

=====

Q: Among the records above, which one has the lowest theoretical density?
A: number 3

=====

Q: Among the records above, which one has the lowest theoretical density?
A: number 3